First-principles (GGA-PBE) data for a geometry-optimized Mg6FeC structure, as listed in the Materials Project database.

Summary:
**ΔH_f (0 K)**: 169 meV per atom
**ΔE to the lowest computed polymorph**: 0 meV per atom
**Crystal system**: orthorhombic

Lattice parameters (Å, degrees): 3.1700 9.3806 10.0869 90.00 90.00 90.00
Closest atoms and distances in Å follow each position.
Space group Amm2 (No. 38)
One atom of each set of equivalent atoms:
Mg1 0.0000 0.0000 0.0000  10 Mg 3.00-3.18
Mg2 0.0000 0.1708 0.2722  2 C 2.61, 1 Fe 2.68
Mg3 0.5000 0.0000 0.7456  6 Mg 3.02-3.17, 2 Fe 3.07
Mg4 0.5000 0.2297 0.5264  1 C 2.49, 2 Fe 2.71
Fe1 0.0000 0.0000 0.4854  2 C 1.79
C1 0.5000 0.0000 0.4025  2 Fe 1.79

First-principles (GGA-PBE) data for a geometry-optimized CaAsO5 structure, as listed in the Materials Project database.

Summary:
**ΔH_f (0 K)**: -1568 meV per atom
**ΔE to the lowest computed polymorph**: 0 meV per atom
**Crystal system**: orthorhombic

Lattice parameters (Å, degrees): 6.5613 8.6294 15.3257 90.00 90.00 90.00
Closest atoms and distances in Å follow each position.
Space group Pbcn (No. 60)
One atom of each set of equivalent atoms:
Ca1 0.1386 0.1913 0.0364  5 O 2.27-2.46
As1 0.1343 0.4501 0.8875  4 O 1.68-1.81
O1 0.0304 0.3011 0.5930  1 As 1.71
O2 0.0383 0.3696 0.3850  1 As 1.68
O3 0.0440 0.0300 0.7861  1 O 1.25
O4 0.1840 0.0629 0.4689  1 As 1.73
O5 0.2372 0.0963 0.2860  1 O 1.67, 1 As 1.81

First-principles (GGA-PBE) data for a geometry-optimized LiH3C2O5 structure, as listed in the Materials Project database.

Summary:
**ΔH_f (0 K)**: -1570 meV per atom
**Crystal system**: triclinic

Lattice parameters (Å, degrees): 3.6060 5.1912 6.1607 79.14 84.95 77.61
Closest atoms and distances in Å follow each position.
Space group P1 (No. 1)
One atom of each set of equivalent atoms:
Li1 0.0000 0.0000 0.0000  5 O 2.06-2.28
H1 0.3797 0.3620 0.0503  1 O 0.99
H2 0.4348 0.3192 0.8041  1 O 0.99
H3 0.7030 0.2185 0.4320  1 O 1.08
C1 0.0625 0.8623 0.5047  2 O 1.23-1.32
C2 0.2807 0.6255 0.3927  2 O 1.25-1.28
O1 0.0776 0.8633 0.7032  1 C 1.23
O2 0.2454 0.6412 0.1898  1 C 1.25
O3 0.4363 0.2188 0.9582  2 H 0.99
O4 0.4825 0.4331 0.5199  1 C 1.28, 1 H 1.39
O5 0.8681 0.0518 0.3601  1 H 1.08

First-principles (GGA-PBE) data for a geometry-optimized ZnH14C2N8Cl4 structure, as listed in the Materials Project database.

Summary:
**ΔH_f (0 K)**: -483 meV per atom
**Crystal system**: monoclinic

Lattice parameters (Å, degrees): 7.7952 24.8754 8.0225 90.00 101.31 90.00
Closest atoms and distances in Å follow each position.
Space group P2_1/c (No. 14)
One atom of each set of equivalent atoms:
Zn1 0.1296 0.1322 0.3948  4 Cl 2.27-2.32
H1 0.1657 0.6743 0.4178  1 N 1.02
H2 0.1803 0.0454 0.7751  1 N 1.02
H3 0.1820 0.7319 0.9523  1 N 1.01
H4 0.1985 0.5466 0.1894  1 N 1.02
H5 0.2306 0.5472 0.5822  1 N 1.02
H6 0.2411 0.1637 0.8699  1 N 1.03
H7 0.2970 0.5799 0.7635  1 N 1.03
H8 0.3031 0.1634 0.0787  1 N 1.03
H9 0.3512 0.0195 0.2711  1 N 1.02
H10 0.3563 0.6356 0.4933  1 N 1.02
H11 0.3608 0.2478 0.9302  1 N 1.02
H12 0.3738 0.0791 0.8530  1 N 1.02
H13 0.3865 0.7007 0.9951  1 N 1.02
H14 0.3951 0.5681 0.1350  1 N 1.02
C1 0.3912 0.7166 0.4971  3 N 1.33-1.34
C2 0.4032 0.0059 0.7506  3 N 1.34
N1 0.2967 0.6718 0.4644  2 H 1.02
N2 0.3123 0.0438 0.8139  2 H 1.02
N3 0.3140 0.7352 0.9858  2 H 1.01-1.02
N4 0.3243 0.5384 0.1787  2 H 1.02
N5 0.3388 0.5586 0.6694  2 H 1.02-1.03
N6 0.3487 0.1641 0.9668  2 H 1.03
N7 0.4241 0.5120 0.7405  1 H 1.02
N8 0.4339 0.2136 0.9576  1 H 1.02
Cl1 0.0136 0.6260 0.8852  1 Zn 2.27
Cl2 0.0526 0.0627 0.2020  1 Zn 2.32, 2 H 2.33-2.52
Cl3 0.0879 0.2132 0.2559  1 Zn 2.29, 2 H 2.39-2.50
Cl4 0.4311 0.1274 0.4750  2 H 2.29, 1 Zn 2.32

First-principles (GGA-PBE) data for a geometry-optimized TaP4S5Cl5 structure, as listed in the Materials Project database.

Summary:
**ΔH_f (0 K)**: -1013 meV per atom
**Crystal system**: triclinic

Lattice parameters (Å, degrees): 6.9310 10.6169 13.6595 98.04 104.51 106.94
Closest atoms and distances in Å follow each position.
Space group P-1 (No. 2)
One atom of each set of equivalent atoms:
Ta1 0.1065 0.2343 0.3442  5 Cl 2.29-2.37
P1 0.2720 0.1900 0.9061  1 S 2.06, 2 P 2.27-2.30
P2 0.3782 0.6925 0.0031  2 S 2.13-2.17, 1 P 2.30
P3 0.4171 0.0756 0.8098  3 S 1.99-2.11
P4 0.4648 0.3779 0.7583  3 S 2.13-2.16
S1 0.1930 0.3165 0.8133  2 P 2.06-2.16
S2 0.2955 0.5503 0.0944  2 P 2.13
S3 0.3094 0.8699 0.0621  2 P 2.10-2.17
S4 0.3201 0.8765 0.7530  1 P 1.99
S5 0.4729 0.1836 0.6958  2 P 2.11-2.14
Cl1 0.0177 0.2590 0.4979  1 Ta 2.33
Cl2 0.0198 0.4264 0.3129  1 Ta 2.35
Cl3 0.1040 0.0157 0.3521  1 Ta 2.33
Cl4 0.1395 0.1973 0.1746  1 Ta 2.37
Cl5 0.4630 0.3392 0.4223  1 Ta 2.29

First-principles (GGA-PBE) data for a geometry-optimized Ce5Mg structure, as listed in the Materials Project database.

Summary:
**ΔH_f (0 K)**: 94 meV per atom
**ΔE to the lowest computed polymorph**: 17 meV per atom
**Crystal system**: trigonal

Lattice parameters (Å, degrees): 5.8397 5.8397 16.5734 90.00 90.00 120.00
Closest atoms and distances in Å follow each position.
Space group R32 (No. 155, hexagonal axes)
One atom of each set of equivalent atoms:
Ce1 0.0000 0.0000 0.1676  3 Mg 3.37, 9 Ce 3.37-3.38
Ce2 0.0000 0.6715 0.0000  10 Ce 3.32-3.40, 2 Mg 3.39
Mg1 0.0000 0.0000 0.5000  12 Ce 3.37-3.39

First-principles (GGA-PBE) data for a geometry-optimized Pr5Cl12 structure, as listed in the Materials Project database.

Summary:
**ΔH_f (0 K)**: -2507 meV per atom
**Crystal system**: trigonal

Lattice parameters (Å, degrees): 8.1854 8.1854 23.3521 90.00 90.00 120.00
Closest atoms and distances in Å follow each position.
Space group P-3 (No. 147)
One atom of each set of equivalent atoms:
Pr1 0.0000 0.0000 0.0000  6 Cl 3.00
Pr2 0.0000 0.0000 0.1485  6 Cl 2.95-3.03
Pr3 0.3333 0.6667 0.1229  9 Cl 2.93-3.19
Pr4 0.3333 0.6667 0.2874  6 Cl 2.85-3.01
Pr5 0.3333 0.6667 0.4563  6 Cl 2.86
Pr6 0.3333 0.6667 0.6272  6 Cl 2.84-2.90
Pr7 0.3333 0.6667 0.7950  6 Cl 2.83-2.92
Pr8 0.3333 0.6667 0.9620  9 Cl 2.90-3.17
Cl1 0.0747 0.3785 0.0405  4 Pr 2.90-3.17
Cl2 0.0794 0.3859 0.8777  4 Pr 2.92-3.19
Cl3 0.0829 0.3698 0.2024  4 Pr 2.93-3.27
Cl4 0.0888 0.4024 0.7133  2 Pr 2.83-2.90
Cl5 0.0980 0.4007 0.3717  2 Pr 2.85-2.86
Cl6 0.1015 0.4046 0.5425  2 Pr 2.84-2.86

First-principles (GGA-PBE) data for a geometry-optimized Nb3In structure, as listed in the Materials Project database.

Summary:
**ΔH_f (0 K)**: 32 meV per atom
**Crystal system**: cubic

Lattice parameters (Å, degrees): 5.3400 5.3400 5.3400 90.00 90.00 90.00
Closest atoms and distances in Å follow each position.
Space group Pm-3n (No. 223)
One atom of each set of equivalent atoms:
Nb1 0.0000 0.2500 0.5000  2 Nb 2.67, 4 In 2.99
In1 0.0000 0.0000 0.0000  12 Nb 2.99